No. 1
## CaSb3P3O13 (PBE)

Data for a relaxed CaSb3P3O13 crystal.

The structure in CIF format:
```
data_CaSb3P3O13
_chemical_formula_sum 'Ca2 Sb6 P6 O26'
_symmetry_space_group_name_H-M 'P 1 21/m 1'
_symmetry_Int_Tables_number 11
_cell_length_a 8.2048
_cell_length_b 6.9778
_cell_length_c 11.1696
_cell_angle_alpha 90.00
_cell_angle_beta 102.12
_cell_angle_gamma 90.00
loop_
_symmetry_equiv_pos_as_xyz
'x,y,z'
'-x,-y,-z'
'-x,y+1/2,-z'
'x,-y+1/2,z'
loop_
_atom_site_label
_atom_site_fract_x
_atom_site_fract_y
_atom_site_fract_z
_atom_site_occupancy
Ca1 0.1257 0.2500 0.1777 1
Sb1 0.1487 0.2500 0.7694 1
Sb2 0.2607 0.7500 0.4392 1
Sb3 0.5000 0.0000 0.0000 1
P1 0.1851 0.7500 0.1062 1
P2 0.2387 0.7500 0.7631 1
P3 0.3082 0.2500 0.4865 1
O1 0.0046 0.7500 0.0310 1
O2 0.1253 0.5770 0.7799 1
O3 0.1770 0.7500 0.2446 1
O4 0.1978 0.2500 0.5837 1
O5 0.2711 0.0743 0.3993 1
O6 0.2748 0.5588 0.0857 1
O7 0.3058 0.7500 0.6466 1
O8 0.3702 0.2500 0.8877 1
O9 0.3996 0.7500 0.8702 1
O10 0.4933 0.2500 0.5613 1
```

Formation energy (eV per formula unit): -48.389

No. 2
## CaSnP4O12 (PBE)

Data for a relaxed CaSnP4O12 crystal.

The structure in CIF format:
```
data_CaSnP4O12
_chemical_formula_sum 'Ca4 Sn4 P16 O48'
_symmetry_space_group_name_H-M 'C 1 2/c 1'
_symmetry_Int_Tables_number 15
_cell_length_a 12.9796
_cell_length_b 9.0144
_cell_length_c 11.1380
_cell_angle_alpha 90.00
_cell_angle_beta 120.80
_cell_angle_gamma 90.00
loop_
_symmetry_equiv_pos_as_xyz
'x,y,z'
'-x,-y,-z'
'-x,y,-z+1/2'
'x,-y,z+1/2'
'x+1/2,y+1/2,z'
'-x+1/2,-y+1/2,-z'
'-x+1/2,y+1/2,-z+1/2'
'x+1/2,-y+1/2,z+1/2'
loop_
_atom_site_label
_atom_site_fract_x
_atom_site_fract_y
_atom_site_fract_z
_atom_site_occupancy
Ca1 0.0000 0.0237 0.2500 1
Sn1 0.2500 0.2500 0.5000 1
P1 0.0127 0.2731 0.9857 1
P2 0.1867 0.4941 0.1866 1
O1 0.0312 0.2358 0.4149 1
O2 0.0343 0.1500 0.9126 1
O3 0.0783 0.3884 0.6334 1
O4 0.1342 0.3690 0.0654 1
O5 0.2094 0.0633 0.3197 1
O6 0.2112 0.4341 0.3231 1
```

Formation energy (eV per formula unit): -48.316

No. 3
## CaSn3P4O14 (PBE)

Data for a relaxed CaSn3P4O14 crystal.

The structure in CIF format:
```
data_CaSn3P4O14
_chemical_formula_sum 'Ca2 Sn6 P8 O28'
_symmetry_space_group_name_H-M 'P 1 21/c 1'
_symmetry_Int_Tables_number 14
_cell_length_a 8.3449
_cell_length_b 8.3137
_cell_length_c 10.1115
_cell_angle_alpha 90.00
_cell_angle_beta 108.31
_cell_angle_gamma 90.00
loop_
_symmetry_equiv_pos_as_xyz
'x,y,z'
'-x,-y,-z'
'-x,y+1/2,-z+1/2'
'x,-y+1/2,z+1/2'
loop_
_atom_site_label
_atom_site_fract_x
_atom_site_fract_y
_atom_site_fract_z
_atom_site_occupancy
Ca1 0.0000 0.0000 0.0000 1
Sn1 0.2966 0.1187 0.4626 1
Sn2 0.5000 0.0000 0.0000 1
P1 0.0905 0.0519 0.7076 1
P2 0.3245 0.7054 0.1752 1
O1 0.0992 0.5353 0.8158 1
O2 0.1391 0.1772 0.6147 1
O3 0.1426 0.6251 0.1662 1
O4 0.1792 0.0739 0.8656 1
O5 0.2754 0.6341 0.5988 1
O6 0.4039 0.5851 0.0958 1
O7 0.4331 0.7166 0.3271 1
```

Formation energy (eV per formula unit): -55.223

No. 4
## CaSn4P6O24 (PBE)

Data for a relaxed CaSn4P6O24 crystal.

The structure in CIF format:
```
data_CaSn4P6O24
_chemical_formula_sum 'Ca3 Sn12 P18 O72'
_symmetry_space_group_name_H-M 'R -3'
_symmetry_Int_Tables_number 148
_symmetry_space_group_name_Hall '-R 3'
_cell_length_a 8.4205
_cell_length_b 8.4205
_cell_length_c 23.2409
_cell_angle_alpha 90.00
_cell_angle_beta 90.00
_cell_angle_gamma 120.00
loop_
_atom_site_label
_atom_site_fract_x
_atom_site_fract_y
_atom_site_fract_z
_atom_site_occupancy
Ca1 0.0000 0.0000 0.0000 1
Sn1 0.0000 0.0000 0.1478 1
Sn2 0.0000 0.0000 0.3492 1
P1 0.0022 0.2917 0.7485 1
O1 0.0065 0.7975 0.1931 1
O2 0.0368 0.1993 0.0864 1
O3 0.0866 0.2269 0.3998 1
O4 0.0929 0.2338 0.7009 1
```

Formation energy (eV per formula unit): -90.813